1.
The following is a meta-GGA r2SCAN calculation of ThGa3 after structural relaxation, from the Materials Project database.

Space group ... No. 194
Energy of formation ... -0.5707 eV per atom
Density ... 8.9 Mg/m³
Magnetization ... 0.00 μB per atom
Crystal system ... hexagonal

Lattice parameters (Å, degrees): 6.502 6.502 4.496 90.00 90.00 120.00
Fractional positions:
Th 0.333 0.667 0.250
Th 0.667 0.333 0.750
Ga 0.140 0.281 0.750
Ga 0.140 0.860 0.750
Ga 0.281 0.140 0.250
Ga 0.719 0.860 0.750
Ga 0.860 0.140 0.250
Ga 0.860 0.719 0.250

***

2.
The following is a meta-GGA r2SCAN calculation of Th3Ga2 after structural relaxation, from the Materials Project database.

Space group ... No. 127
Energy of formation ... -0.4640 eV per atom
Density ... 10.2 Mg/m³
Magnetization ... 0.30 μB per atom
Crystal system ... tetragonal

Lattice parameters (Å, degrees): 7.977 7.977 4.290 90.00 90.00 90.00
Fractional positions:
Th 0.000 0.000 0.000
Th 0.177 0.323 0.500
Th 0.323 0.823 0.500
Th 0.500 0.500 0.000
Th 0.677 0.177 0.500
Th 0.823 0.677 0.500
Ga 0.116 0.616 0.000
Ga 0.384 0.116 0.000
Ga 0.616 0.884 0.000
Ga 0.884 0.384 0.000

***

3.
The following is a meta-GGA r2SCAN calculation of Ti3Ga after structural relaxation, from the Materials Project database.

Space group ... No. 194
Energy of formation ... -0.3458 eV per atom
Density ... 5.5 Mg/m³
Magnetization ... 0.00 μB per atom
Crystal system ... hexagonal

Lattice parameters (Å, degrees): 5.687 5.687 4.619 90.00 90.00 120.00
Fractional positions:
Ti 0.171 0.341 0.250
Ti 0.171 0.829 0.250
Ti 0.341 0.171 0.750
Ti 0.659 0.829 0.250
Ti 0.829 0.171 0.750
Ti 0.829 0.659 0.750
Ga 0.333 0.667 0.750
Ga 0.667 0.333 0.250

***

4.
The following is a meta-GGA r2SCAN calculation of Ti3Ga after structural relaxation, from the Materials Project database.

Space group ... No. 139
Energy of formation ... -0.3334 eV per atom
Density ... 5.5 Mg/m³
Magnetization ... 0.00 μB per atom
Crystal system ... tetragonal

Lattice parameters (Å, degrees): 5.079 5.079 5.079 134.80 134.80 65.84
Fractional positions:
Ti 0.000 0.000 0.000
Ti 0.250 0.750 0.500
Ti 0.750 0.250 0.500
Ga 0.500 0.500 0.000

***

5.
The following is a meta-GGA r2SCAN calculation of Ti5Ga3 after structural relaxation, from the Materials Project database.

Space group ... No. 193
Energy of formation ... -0.4780 eV per atom
Density ... 5.7 Mg/m³
Magnetization ... 0.24 μB per atom
Crystal system ... hexagonal

Lattice parameters (Å, degrees): 7.577 7.577 5.302 90.00 90.00 120.00
Fractional positions:
Ti 0.000 0.238 0.250
Ti 0.000 0.762 0.750
Ti 0.238 0.000 0.250
Ti 0.238 0.238 0.750
Ti 0.333 0.667 0.000
Ti 0.333 0.667 0.500
Ti 0.667 0.333 0.000
Ti 0.667 0.333 0.500
Ti 0.762 0.000 0.750
Ti 0.762 0.762 0.250
Ga 0.000 0.394 0.750
Ga 0.000 0.606 0.250
Ga 0.394 0.000 0.750
Ga 0.394 0.394 0.250
Ga 0.606 0.000 0.250
Ga 0.606 0.606 0.750

***

6.
The following is a meta-GGA r2SCAN calculation of Tm3Ga5 after structural relaxation, from the Materials Project database.

Space group ... No. 62
Energy of formation ... -0.7139 eV per atom
Density ... 8.9 Mg/m³
Magnetization ... 0.00 μB per atom
Crystal system ... orthorhombic

Lattice parameters (Å, degrees): 11.258 9.486 6.005 90.00 90.00 90.00
Fractional positions:
Tm 0.076 0.250 0.151
Tm 0.148 0.510 0.610
Tm 0.148 0.990 0.610
Tm 0.352 0.010 0.110
Tm 0.352 0.490 0.110
Tm 0.424 0.750 0.651
Tm 0.576 0.250 0.349
Tm 0.648 0.510 0.890
Tm 0.648 0.990 0.890
Tm 0.852 0.010 0.390
Tm 0.852 0.490 0.390
Tm 0.924 0.750 0.849
Ga 0.005 0.250 0.627
Ga 0.091 0.553 0.126
Ga 0.091 0.947 0.126
Ga 0.199 0.750 0.898
Ga 0.248 0.750 0.324
Ga 0.252 0.250 0.824
Ga 0.301 0.250 0.398
Ga 0.409 0.053 0.626
Ga 0.409 0.447 0.626
Ga 0.495 0.750 0.127
Ga 0.505 0.250 0.873
Ga 0.591 0.553 0.374
Ga 0.591 0.947 0.374
Ga 0.699 0.750 0.602
Ga 0.748 0.750 0.176
Ga 0.752 0.250 0.676
Ga 0.801 0.250 0.102
Ga 0.909 0.053 0.874
Ga 0.909 0.447 0.874
Ga 0.995 0.750 0.373

***

7.
The following is a meta-GGA r2SCAN calculation of TmGa3 after structural relaxation, from the Materials Project database.

Space group ... No. 221
Energy of formation ... -0.5350 eV per atom
Density ... 8.5 Mg/m³
Magnetization ... 0.00 μB per atom
Crystal system ... cubic

Lattice parameters (Å, degrees): 4.200 4.200 4.200 90.00 90.00 90.00
Fractional positions:
Tm 0.000 0.000 0.000
Ga 0.000 0.500 0.500
Ga 0.500 0.000 0.500
Ga 0.500 0.500 0.000

***

8.
The following is a meta-GGA r2SCAN calculation of Tm3Ga2 after structural relaxation, from the Materials Project database.

Space group ... No. 140
Energy of formation ... -0.6461 eV per atom
Density ... 9.1 Mg/m³
Magnetization ... 0.00 μB per atom
Crystal system ... tetragonal

Lattice parameters (Å, degrees): 10.855 10.855 10.855 116.70 116.70 95.82
Fractional positions:
Tm 0.067 0.931 0.270
Tm 0.069 0.339 0.136
Tm 0.146 0.646 0.500
Tm 0.161 0.431 0.864
Tm 0.169 0.331 0.500
Tm 0.203 0.933 0.864
Tm 0.297 0.161 0.730
Tm 0.331 0.831 0.162
Tm 0.339 0.203 0.270
Tm 0.354 0.854 0.500
Tm 0.431 0.567 0.270
Tm 0.433 0.703 0.864
Tm 0.567 0.297 0.136
Tm 0.569 0.433 0.730
Tm 0.646 0.146 0.500
Tm 0.661 0.797 0.730
Tm 0.669 0.169 0.838
Tm 0.703 0.839 0.270
Tm 0.797 0.067 0.136
Tm 0.831 0.669 0.500
Tm 0.839 0.569 0.136
Tm 0.854 0.354 0.500
Tm 0.931 0.661 0.864
Tm 0.933 0.069 0.730
Ga 0.000 0.000 0.000
Ga 0.023 0.878 0.500
Ga 0.118 0.618 0.737
Ga 0.122 0.622 0.145
Ga 0.250 0.250 0.000
Ga 0.378 0.523 0.500
Ga 0.382 0.118 0.500
Ga 0.477 0.977 0.855
Ga 0.500 0.500 0.000
Ga 0.523 0.023 0.145
Ga 0.618 0.882 0.500
Ga 0.622 0.477 0.500
Ga 0.750 0.750 0.000
Ga 0.878 0.378 0.855
Ga 0.882 0.382 0.263
Ga 0.977 0.122 0.500